! Pu2Sn3 PBE optimized geometry; values from VASP
&SYSTEM
  ibrav = 0, nat = 20, ntyp = 2
/
ATOMIC_SPECIES
Pu 244.00 Pu.upf
Sn 118.71 Sn.upf
CELL_PARAMETERS angstrom
-3.634 3.634 10.762
3.634 -3.634 10.762
3.634 3.634 -10.762
ATOMIC_POSITIONS crystal
Pu 0.171 0.200 0.529
Pu 0.171 0.642 0.971
Pu 0.200 0.171 0.029
Pu 0.358 0.829 0.529
Pu 0.642 0.171 0.471
Pu 0.800 0.829 0.971
Pu 0.829 0.358 0.029
Pu 0.829 0.800 0.471
Sn 0.000 0.000 0.000
Sn 0.000 0.000 0.500
Sn 0.000 0.500 0.000
Sn 0.206 0.676 0.530
Sn 0.324 0.353 0.530
Sn 0.324 0.794 0.970
Sn 0.353 0.324 0.030
Sn 0.500 0.000 0.500
Sn 0.647 0.676 0.970
Sn 0.676 0.206 0.030
Sn 0.676 0.647 0.470
Sn 0.794 0.324 0.470
! ρ: 9.863 Mg/m³
! SG: No. 141
! spin magnetization: 12.0 μB/f.u.
! calculated formation energy: -139 meV/atom

=====

! PuSn3 PBE optimized geometry; values from VASP
&SYSTEM
  ibrav = 0, nat = 4, ntyp = 2
/
ATOMIC_SPECIES
Pu 244.00 Pu.upf
Sn 118.71 Sn.upf
CELL_PARAMETERS angstrom
4.588 0.000 0.000
0.000 4.588 0.000
0.000 0.000 4.588
ATOMIC_POSITIONS crystal
Pu 0.000 0.000 0.000
Sn 0.000 0.500 0.500
Sn 0.500 0.000 0.500
Sn 0.500 0.500 0.000
! ρ: 10.322 Mg/m³
! SG: No. 221
! spin magnetization: 0.6 μB/f.u.
! calculated formation energy: 142 meV/atom

=====

! Pu3Sn PBE optimized geometry; values from VASP
&SYSTEM
  ibrav = 0, nat = 4, ntyp = 2
/
ATOMIC_SPECIES
Pu 244.00 Pu.upf
Sn 118.71 Sn.upf
CELL_PARAMETERS angstrom
4.737 0.000 0.000
0.000 4.737 0.000
0.000 0.000 4.737
ATOMIC_POSITIONS crystal
Pu 0.000 0.000 0.500
Pu 0.000 0.500 0.000
Pu 0.500 0.000 0.000
Sn 0.500 0.500 0.500
! ρ: 13.288 Mg/m³
! SG: No. 221
! calculated formation energy: -272 meV/atom

=====

! TbPu PBE optimized geometry; values from VASP
&SYSTEM
  ibrav = 0, nat = 2, ntyp = 2
/
ATOMIC_SPECIES
Tb 158.93 Tb.upf
Pu 244.00 Pu.upf
CELL_PARAMETERS angstrom
3.554 0.000 0.000
-1.777 3.078 0.000
0.000 0.000 5.861
ATOMIC_POSITIONS crystal
Tb 0.000 0.000 0.000
Pu 0.333 0.667 0.500
! ρ: 10.436 Mg/m³
! SG: No. 187
! spin magnetization: 6.4 μB/f.u.
! calculated formation energy: 160 meV/atom

=====

! PuTe PBE optimized geometry; values from VASP
&SYSTEM
  ibrav = 0, nat = 2, ntyp = 2
/
ATOMIC_SPECIES
Pu 244.00 Pu.upf
Te 127.60 Te.upf
CELL_PARAMETERS angstrom
3.804 0.000 0.000
0.000 3.804 0.000
0.000 0.000 3.804
ATOMIC_POSITIONS crystal
Pu 0.000 0.000 0.000
Te 0.500 0.500 0.500
! ρ: 11.207 Mg/m³
! SG: No. 221
! spin magnetization: 6.0 μB/f.u.
! calculated formation energy: -1261 meV/atom

=====

! PuTe PBE optimized geometry; values from VASP
&SYSTEM
  ibrav = 0, nat = 8, ntyp = 2
/
ATOMIC_SPECIES
Pu 244.00 Pu.upf
Te 127.60 Te.upf
CELL_PARAMETERS angstrom
6.298 0.000 0.000
0.000 6.298 0.000
0.000 0.000 6.298
ATOMIC_POSITIONS crystal
Pu 0.000 0.000 0.000
Pu 0.000 0.500 0.500
Pu 0.500 0.000 0.500
Pu 0.500 0.500 0.000
Te 0.000 0.000 0.500
Te 0.000 0.500 0.000
Te 0.500 0.000 0.000
Te 0.500 0.500 0.500
! ρ: 9.882 Mg/m³
! SG: No. 225
! calculated formation energy: -1338 meV/atom

=====

! PuTe2 PBE optimized geometry; values from VASP
&SYSTEM
  ibrav = 0, nat = 6, ntyp = 2
/
ATOMIC_SPECIES
Pu 244.00 Pu.upf
Te 127.60 Te.upf
CELL_PARAMETERS angstrom
4.407 0.000 0.000
0.000 4.407 0.000
0.000 0.000 8.742
ATOMIC_POSITIONS crystal
Pu 0.250 0.250 0.226
Pu 0.750 0.750 0.774
Te 0.250 0.250 0.863
Te 0.250 0.750 0.500
Te 0.750 0.250 0.500
Te 0.750 0.750 0.137
! ρ: 9.767 Mg/m³
! SG: No. 129
! calculated formation energy: -1216 meV/atom

=====

! PuTh PBE optimized geometry; values from VASP
&SYSTEM
  ibrav = 0, nat = 6, ntyp = 2
/
ATOMIC_SPECIES
Pu 244.00 Pu.upf
Th 232.04 Th.upf
CELL_PARAMETERS angstrom
3.489 0.000 0.000
-1.744 3.021 0.000
0.000 0.000 16.826
ATOMIC_POSITIONS crystal
Pu 0.000 0.000 0.000
Pu 0.333 0.667 0.667
Pu 0.667 0.333 0.333
Th 0.000 0.000 0.500
Th 0.333 0.667 0.167
Th 0.667 0.333 0.833
! ρ: 13.372 Mg/m³
! SG: No. 166
! spin magnetization: 0.2 μB/f.u.
! calculated formation energy: 990 meV/atom

=====

! YPu3 PBE optimized geometry; values from VASP
&SYSTEM
  ibrav = 0, nat = 8, ntyp = 2
/
ATOMIC_SPECIES
Y 88.91 Y.upf
Pu 244.00 Pu.upf
CELL_PARAMETERS angstrom
6.865 0.000 0.000
-3.432 5.945 0.000
0.000 0.000 5.584
ATOMIC_POSITIONS crystal
Y 0.333 0.667 0.250
Y 0.667 0.333 0.750
Pu 0.163 0.325 0.750
Pu 0.163 0.837 0.750
Pu 0.325 0.163 0.250
Pu 0.675 0.837 0.750
Pu 0.837 0.163 0.250
Pu 0.837 0.675 0.250
! ρ: 11.963 Mg/m³
! SG: No. 194
! spin magnetization: 18.1 μB/f.u.
! calculated formation energy: 212 meV/atom

=====

! Pu2Zn17 PBE optimized geometry; values from VASP
&SYSTEM
  ibrav = 0, nat = 38, ntyp = 2
/
ATOMIC_SPECIES
Pu 244.00 Pu.upf
Zn 65.41 Zn.upf
CELL_PARAMETERS angstrom
8.917 0.000 0.000
-4.458 7.722 0.000
0.000 0.000 8.908
ATOMIC_POSITIONS crystal
Pu 0.000 0.000 0.250
Pu 0.000 0.000 0.750
Pu 0.333 0.667 0.250
Pu 0.667 0.333 0.750
Zn 0.000 0.500 0.000
Zn 0.000 0.500 0.500
Zn 0.032 0.361 0.750
Zn 0.032 0.671 0.750
Zn 0.162 0.323 0.018
Zn 0.162 0.323 0.482
Zn 0.162 0.838 0.018
Zn 0.162 0.838 0.482
Zn 0.323 0.162 0.518
Zn 0.323 0.162 0.982
Zn 0.329 0.361 0.750
Zn 0.329 0.968 0.750
Zn 0.333 0.667 0.597
Zn 0.333 0.667 0.903
Zn 0.361 0.032 0.250
Zn 0.361 0.329 0.250
Zn 0.500 0.000 0.000
Zn 0.500 0.000 0.500
Zn 0.500 0.500 0.000
Zn 0.500 0.500 0.500
Zn 0.639 0.671 0.750
Zn 0.639 0.968 0.750
Zn 0.667 0.333 0.097
Zn 0.667 0.333 0.403
Zn 0.671 0.032 0.250
Zn 0.671 0.639 0.250
Zn 0.677 0.838 0.018
Zn 0.677 0.838 0.482
Zn 0.838 0.162 0.518
Zn 0.838 0.162 0.982
Zn 0.838 0.677 0.518
Zn 0.838 0.677 0.982
Zn 0.968 0.329 0.250
Zn 0.968 0.639 0.250
! ρ: 8.663 Mg/m³
! polymorph energy (0 for the lowest one): 217 meV per atom
! SG: No. 194
! spin magnetization: 0.2 μB/f.u.
! calculated formation energy: 59 meV/atom

=====

! Pu13Zn58 PBE optimized geometry; values from VASP
&SYSTEM
  ibrav = 0, nat = 142, ntyp = 2
/
ATOMIC_SPECIES
Pu 244.00 Pu.upf
Zn 65.41 Zn.upf
CELL_PARAMETERS angstrom
14.471 0.000 0.000
-7.235 12.532 0.000
0.000 0.000 13.965
ATOMIC_POSITIONS crystal
Pu 0.000 0.000 0.000
Pu 0.000 0.000 0.500
Pu 0.083 0.542 0.250
Pu 0.125 0.251 0.250
Pu 0.125 0.875 0.250
Pu 0.205 0.410 0.553
Pu 0.205 0.410 0.947
Pu 0.205 0.795 0.553
Pu 0.205 0.795 0.947
Pu 0.251 0.125 0.750
Pu 0.410 0.205 0.053
Pu 0.410 0.205 0.447
Pu 0.458 0.542 0.250
Pu 0.458 0.917 0.250
Pu 0.542 0.083 0.750
Pu 0.542 0.458 0.750
Pu 0.590 0.795 0.553
Pu 0.590 0.795 0.947
Pu 0.749 0.875 0.250
Pu 0.795 0.205 0.053
Pu 0.795 0.205 0.447
Pu 0.795 0.590 0.053
Pu 0.795 0.590 0.447
Pu 0.875 0.125 0.750
Pu 0.875 0.749 0.750
Pu 0.917 0.458 0.750
Zn 0.000 0.000 0.250
Zn 0.000 0.000 0.750
Zn 0.000 0.200 0.000
Zn 0.000 0.200 0.500
Zn 0.000 0.500 0.000
Zn 0.000 0.500 0.500
Zn 0.000 0.800 0.000
Zn 0.000 0.800 0.500
Zn 0.036 0.365 0.102
Zn 0.036 0.365 0.398
Zn 0.036 0.671 0.102
Zn 0.036 0.671 0.398
Zn 0.084 0.365 0.750
Zn 0.084 0.719 0.750
Zn 0.095 0.190 0.656
Zn 0.095 0.190 0.844
Zn 0.095 0.905 0.656
Zn 0.095 0.905 0.844
Zn 0.128 0.564 0.644
Zn 0.128 0.564 0.856
Zn 0.190 0.095 0.156
Zn 0.190 0.095 0.344
Zn 0.200 0.000 0.000
Zn 0.200 0.000 0.500
Zn 0.200 0.200 0.000
Zn 0.200 0.200 0.500
Zn 0.203 0.601 0.051
Zn 0.203 0.601 0.449
Zn 0.236 0.471 0.159
Zn 0.236 0.471 0.341
Zn 0.236 0.764 0.159
Zn 0.236 0.764 0.341
Zn 0.269 0.538 0.750
Zn 0.269 0.731 0.750
Zn 0.281 0.365 0.750
Zn 0.281 0.916 0.750
Zn 0.329 0.365 0.102
Zn 0.329 0.365 0.398
Zn 0.329 0.964 0.102
Zn 0.329 0.964 0.398
Zn 0.333 0.667 0.250
Zn 0.333 0.667 0.596
Zn 0.333 0.667 0.904
Zn 0.365 0.036 0.602
Zn 0.365 0.036 0.898
Zn 0.365 0.084 0.250
Zn 0.365 0.281 0.250
Zn 0.365 0.329 0.602
Zn 0.365 0.329 0.898
Zn 0.399 0.601 0.051
Zn 0.399 0.601 0.449
Zn 0.399 0.797 0.051
Zn 0.399 0.797 0.449
Zn 0.436 0.564 0.644
Zn 0.436 0.564 0.856
Zn 0.436 0.872 0.644
Zn 0.436 0.872 0.856
Zn 0.462 0.731 0.750
Zn 0.471 0.236 0.659
Zn 0.471 0.236 0.841
Zn 0.500 0.000 0.000
Zn 0.500 0.000 0.500
Zn 0.500 0.500 0.000
Zn 0.500 0.500 0.500
Zn 0.529 0.764 0.159
Zn 0.529 0.764 0.341
Zn 0.538 0.269 0.250
Zn 0.564 0.128 0.144
Zn 0.564 0.128 0.356
Zn 0.564 0.436 0.144
Zn 0.564 0.436 0.356
Zn 0.601 0.203 0.551
Zn 0.601 0.203 0.949
Zn 0.601 0.399 0.551
Zn 0.601 0.399 0.949
Zn 0.635 0.671 0.102
Zn 0.635 0.671 0.398
Zn 0.635 0.719 0.750
Zn 0.635 0.916 0.750
Zn 0.635 0.964 0.102
Zn 0.635 0.964 0.398
Zn 0.667 0.333 0.096
Zn 0.667 0.333 0.404
Zn 0.667 0.333 0.750
Zn 0.671 0.036 0.602
Zn 0.671 0.036 0.898
Zn 0.671 0.635 0.602
Zn 0.671 0.635 0.898
Zn 0.719 0.084 0.250
Zn 0.719 0.635 0.250
Zn 0.731 0.269 0.250
Zn 0.731 0.462 0.250
Zn 0.764 0.236 0.659
Zn 0.764 0.236 0.841
Zn 0.764 0.529 0.659
Zn 0.764 0.529 0.841
Zn 0.797 0.399 0.551
Zn 0.797 0.399 0.949
Zn 0.800 0.000 0.000
Zn 0.800 0.000 0.500
Zn 0.800 0.800 0.000
Zn 0.800 0.800 0.500
Zn 0.810 0.905 0.656
Zn 0.810 0.905 0.844
Zn 0.872 0.436 0.144
Zn 0.872 0.436 0.356
Zn 0.905 0.095 0.156
Zn 0.905 0.095 0.344
Zn 0.905 0.810 0.156
Zn 0.905 0.810 0.344
Zn 0.916 0.281 0.250
Zn 0.916 0.635 0.250
Zn 0.964 0.329 0.602
Zn 0.964 0.329 0.898
Zn 0.964 0.635 0.602
Zn 0.964 0.635 0.898
! ρ: 9.135 Mg/m³
! SG: No. 194
! spin magnetization: 4.5 μB/f.u.
! calculated formation energy: -163 meV/atom

=====

! Pu2Zn17 PBE optimized geometry; values from VASP
&SYSTEM
  ibrav = 0, nat = 19, ntyp = 2
/
ATOMIC_SPECIES
Pu 244.00 Pu.upf
Zn 65.41 Zn.upf
CELL_PARAMETERS angstrom
4.507 2.602 4.416
-4.507 2.602 4.416
0.000 -5.204 4.416
ATOMIC_POSITIONS crystal
Pu 0.165 0.165 0.165
Pu 0.835 0.835 0.835
Zn 0.000 0.500 0.500
Zn 0.148 0.148 0.662
Zn 0.148 0.662 0.148
Zn 0.199 0.500 0.801
Zn 0.199 0.801 0.500
Zn 0.338 0.852 0.852
Zn 0.398 0.398 0.398
Zn 0.500 0.000 0.500
Zn 0.500 0.199 0.801
Zn 0.500 0.500 0.000
Zn 0.500 0.801 0.199
Zn 0.602 0.602 0.602
Zn 0.662 0.148 0.148
Zn 0.801 0.199 0.500
Zn 0.801 0.500 0.199
Zn 0.852 0.338 0.852
Zn 0.852 0.852 0.338
! ρ: 8.551 Mg/m³
! polymorph energy (0 for the lowest one): 0 meV per atom
! SG: No. 166
! calculated formation energy: -158 meV/atom